No. 1
# TiS2O8 (PBE, relaxed)
# Energy relative to the lowest polymorph listed for this composition, eV per atom: 0.000
# Calculated formation energy, eV per atom: -2.215
# Crystal system: trigonal
# E_tot, eV per atom: -6.784
data_TiS2O8
_cell_length_a 8.3756
_cell_length_b 8.3756
_cell_length_c 22.4431
_cell_angle_alpha 90.00
_cell_angle_beta 90.00
_cell_angle_gamma 120.00
_space_group_name_H-M_alt 'R 3'
_space_group_IT_number 146
_space_group_name_Hall 'R 3'
loop_
_atom_site_label
_atom_site_fract_x
_atom_site_fract_y
_atom_site_fract_z
Ti1 0.0000 0.0000 0.0000
Ti2 0.0000 0.0000 0.2093
Ti3 0.0000 0.0000 0.4953
S1 0.0516 0.3830 0.7688
S2 0.0536 0.6752 0.2714
O1 0.0112 0.1932 0.1588
O2 0.0123 0.1952 0.4438
O3 0.0119 0.8128 0.5468
O4 0.0760 0.2168 0.0525
O5 0.0865 0.2363 0.7572
O6 0.1582 0.6983 0.9240
O7 0.1805 0.7364 0.6177
O8 0.1840 0.7513 0.3183

No. 2
# Li5Mg (PBE, relaxed)
# Energy relative to the lowest polymorph listed for this composition, eV per atom: 0.000
# Calculated formation energy, eV per atom: -0.023
# Crystal system: trigonal
# E_tot, eV per atom: -1.880
data_Li5Mg
_cell_length_a 5.2724
_cell_length_b 5.2724
_cell_length_c 14.9972
_cell_angle_alpha 90.00
_cell_angle_beta 90.00
_cell_angle_gamma 120.00
_space_group_name_H-M_alt 'R 3 2'
_space_group_IT_number 155
_space_group_name_Hall 'R 3 2"'
loop_
_atom_site_label
_atom_site_fract_x
_atom_site_fract_y
_atom_site_fract_z
Li1 0.0000 0.0000 0.1667
Li2 0.0000 0.6674 0.0000
Mg1 0.0000 0.0000 0.5000

No. 3
# MgAl (PBE, relaxed)
# Calculated formation energy, eV per atom: 0.038
# Crystal system: hexagonal
# E_tot, eV per atom: -2.634
data_MgAl
_cell_length_a 3.0226
_cell_length_b 3.0226
_cell_length_c 4.9200
_cell_angle_alpha 90.00
_cell_angle_beta 90.00
_cell_angle_gamma 120.00
_space_group_name_H-M_alt 'P -6 m 2'
_space_group_IT_number 187
_space_group_name_Hall 'P -6 2'
loop_
_atom_site_label
_atom_site_fract_x
_atom_site_fract_y
_atom_site_fract_z
Mg1 0.0000 0.0000 0.0000
Al1 0.3333 0.6667 0.5000

Q: Among the records above, which one has the lowest calculated formation energy?
A: TiS2O8